Record 1
# PBE Mn4Hg3Au, optimized geometry
# **Polymorph energy (0 for the lowest one)**: 0.0035 eV/atom
# **Calculated total energy**: -4.8519 eV/atom
# **Volume**: 144.4 Å³/cell
# **M_tot**: 2.009 μB per atom
data_Mn4Hg3Au
_chemical_formula_sum 'Mn4 Hg3 Au1'
_symmetry_space_group_name_H-M 'P 1'
_symmetry_Int_Tables_number 1
_symmetry_space_group_name_Hall 'P 1'
_cell_length_a 3.2310
_cell_length_b 4.6827
_cell_length_c 9.5408
_cell_angle_alpha 90.00
_cell_angle_beta 90.00
_cell_angle_gamma 90.00
loop_
_atom_site_label
_atom_site_type_symbol
_atom_site_fract_x
_atom_site_fract_y
_atom_site_fract_z
Mn1 Mn 0.5000 0.5000 0.1128
Mn2 Mn 0.5000 0.5000 0.5932
Mn3 Mn 0.5000 0.0000 0.3936
Mn4 Mn 0.5000 0.0000 0.8979
Hg1 Hg 0.0000 0.5000 0.8562
Hg2 Hg 0.0000 0.0000 0.1463
Hg3 Hg 0.0000 0.0000 0.6457
Au1 Au 0.0000 0.5000 0.3543

Record 2
# PBE Mn4Hg3Au, optimized geometry
# **Polymorph energy (0 for the lowest one)**: 0.0000 eV/atom
# **Calculated total energy**: -4.8554 eV/atom
# **Volume**: 143.7 Å³/cell
# **M_tot**: 1.981 μB per atom
data_Mn4Hg3Au
_chemical_formula_sum 'Mn4 Hg3 Au1'
_symmetry_space_group_name_H-M 'P 1'
_symmetry_Int_Tables_number 1
_symmetry_space_group_name_Hall 'P 1'
_cell_length_a 3.3167
_cell_length_b 3.3167
_cell_length_c 13.0649
_cell_angle_alpha 90.00
_cell_angle_beta 90.00
_cell_angle_gamma 90.00
loop_
_atom_site_label
_atom_site_type_symbol
_atom_site_fract_x
_atom_site_fract_y
_atom_site_fract_z
Mn1 Mn 0.5000 0.5000 0.1164
Mn2 Mn 0.5000 0.5000 0.3743
Mn3 Mn 0.5000 0.5000 0.6257
Mn4 Mn 0.5000 0.5000 0.8836
Hg1 Hg 0.0000 0.0000 0.2483
Hg2 Hg 0.0000 0.0000 0.5000
Hg3 Hg 0.0000 0.0000 0.7517
Au1 Au 0.0000 0.0000 0.0000

Record 3
# PBE SmHgAu2, optimized geometry
# **Calculated total energy**: -3.4832 eV/atom
# **Volume**: 89.5 Å³/cell
data_SmHgAu2
_chemical_formula_sum 'Sm1 Hg1 Au2'
_symmetry_space_group_name_H-M 'P 1'
_symmetry_Int_Tables_number 1
_symmetry_space_group_name_Hall 'P 1'
_cell_length_a 5.0211
_cell_length_b 5.0211
_cell_length_c 5.0211
_cell_angle_alpha 60.00
_cell_angle_beta 60.00
_cell_angle_gamma 60.00
loop_
_atom_site_label
_atom_site_type_symbol
_atom_site_fract_x
_atom_site_fract_y
_atom_site_fract_z
Sm1 Sm 0.0000 0.0000 0.0000
Hg1 Hg 0.5000 0.5000 0.5000
Au1 Au 0.7500 0.7500 0.7500
Au2 Au 0.2500 0.2500 0.2500